The following is a DFT calculation (PBE) of a relaxed structure of Mo3I.

Results
density	9.9	g/cm3
ΔH_f (0 K)	0.871	eV/atom
VASP energy	-30.20	eV/f.u.

Cell and atoms, written as CIF:
```
data_Mo3I
_cell_length_a 4.6176
_cell_length_b 4.6176
_cell_length_c 4.6176
_cell_angle_alpha 60.00
_cell_angle_beta 60.00
_cell_angle_gamma 60.00
_symmetry_space_group_name_H-M 'P 1'
_symmetry_Int_Tables_number 1
loop_
_symmetry_equiv_pos_as_xyz
'x,y,z'
loop_
_atom_site_label
_atom_site_type_symbol
_atom_site_fract_x
_atom_site_fract_y
_atom_site_fract_z
Mo1 Mo 0.2500 0.2500 0.2500
Mo2 Mo 0.7500 0.7500 0.7500
Mo3 Mo 0.5000 0.5000 0.5000
I1 I 0.0000 0.0000 0.0000
```